The following is a r2SCAN calculation of a relaxed structure of Ta2ZnO6, from the Materials Project database.

Calculated values
- Energy of formation from the pure elements: -2794 meV/atom
- E: -18.564 eV/atom

Structure (extended XYZ):
```
36
Lattice="4.7087 0.0000 0.0000 0.0000 5.0707 0.0000 0.0000 0.0000 17.1286" Properties=species:S:1:pos:R:3 pbc="T T T"
O 3.6255 2.0348 2.2044
O 3.5850 2.1603 13.5239
O 3.4781 2.1603 4.9596
O 1.3235 2.9015 0.6078
O 3.6255 4.5701 14.9243
O 1.3235 0.3661 16.5208
O 3.4375 2.0348 10.7687
O 1.0308 2.9015 9.1721
O 1.0832 3.0359 14.9243
O 1.2306 2.9105 12.1690
O 3.3852 4.7046 0.6078
O 3.4781 4.6956 12.1690
O 1.1237 0.3751 13.5239
O 1.0308 0.3661 7.9565
O 3.6779 2.1692 7.9565
O 1.2306 0.3751 4.9596
O 1.0832 0.5006 2.2044
O 3.4375 4.5701 6.3599
O 1.2712 3.0359 6.3599
O 1.2712 0.5006 10.7687
O 3.3852 2.1692 16.5208
O 3.6779 4.7046 9.1721
O 1.1237 2.9105 3.6047
O 3.5850 4.6956 3.6047
Ta 0.0000 3.8030 7.6104
Ta 2.3543 3.8030 16.1747
Ta 0.0000 1.2677 3.7628
Ta 0.0000 3.8030 13.3658
Ta 0.0000 1.2677 9.5182
Ta 2.3543 1.2677 12.3271
Ta 2.3543 1.2677 0.9539
Ta 2.3543 3.8030 4.8015
Zn 2.3543 3.8030 10.3279
Zn 0.0000 1.2677 15.3651
Zn 2.3543 1.2677 6.8008
Zn 0.0000 3.8030 1.7636
```